No. 1
VASP calculation (PBE with a Hubbard U) on a relaxed Li4Co3NiO8 crystal.

ΔE_f (eV/atom): -1.63
Energy above the most stable polymorph in this dataset (meV per atom): 54.4
E (eV for the cell shown): -175.0
SG: P1
Magnetic moment (μB/f.u.): 4.01

Lattice parameters (Å, degrees): 5.8583 5.8521 8.1903 90.40 90.27 91.03
With the nearest neighbours (Å) after each atom.
Positions (direct):
Li  0.0010  0.9965  0.5023  6 O 2.05-2.12
Li  0.4973  0.5042  0.9980  6 O 2.05-2.12
Li  0.2500  0.7514  0.2495  6 O 2.06-2.17
Li  0.7494  0.2487  0.7500  6 O 2.13-2.24
Li  0.4929  0.0001  0.5042  4 O 2.00-2.22
Li  0.0049  0.5051  0.9960  6 O 2.10-2.21
Li  0.2512  0.2485  0.7516  6 O 2.03-2.21
Li  0.7511  0.7488  0.2464  6 O 2.11-2.26
Co  0.0061  0.4992  0.5006  6 O 1.88-1.96
Co  0.4924  0.9954  0.9963  6 O 1.91-2.11
Co  0.2504  0.7492  0.7478  6 O 1.93-1.97
Co  0.2472  0.2527  0.2511  6 O 1.88-1.96
Co  0.7521  0.7492  0.7509  4 O 1.91-1.99
Co  0.7479  0.2502  0.2465  6 O 1.92-2.06
Ni  0.5036  0.4997  0.5007  6 O 2.02-2.08
Ni  0.9997  0.9987  0.0006  6 O 2.04-2.10
O  0.0124  0.4856  0.2619  3 Co 1.96-2.06, 2 Li 2.07-2.18
O  0.4837  0.9951  0.7482  3 Co 1.97-2.15, 3 Li 2.00-2.13
O  0.0202  0.5031  0.7350  2 Co 1.92-1.96, 2 Li 2.04-2.14
O  0.4821  0.0209  0.2534  3 Co 1.95-2.11, 2 Li 2.06
O  0.2327  0.2695  0.4837  2 Co 1.91, 1 Ni 2.07, 1 Li 2.09
O  0.7422  0.7582  0.9890  2 Co 1.95-2.04, 1 Ni 2.05, 3 Li 2.05-2.16
O  0.2362  0.7268  0.5132  2 Co 1.88-1.93, 1 Ni 2.08
O  0.7359  0.2370  0.0120  2 Co 1.92-1.99, 1 Ni 2.10, 2 Li 2.12-2.15
O  0.0003  0.9653  0.7521  2 Co 1.91-1.95, 1 Ni 2.04, 1 Li 2.06
O  0.4862  0.4773  0.2535  2 Co 1.90-2.05, 1 Ni 2.03, 1 Li 2.10
O  0.0119  0.0256  0.2509  2 Co 1.90-2.05, 1 Ni 2.06, 1 Li 2.07
O  0.5017  0.5338  0.7459  2 Co 1.92-1.95, 1 Ni 2.02, 1 Li 2.07
O  0.7701  0.2691  0.4905  2 Co 1.91-2.00, 1 Ni 2.08, 2 Li 2.11-2.13
O  0.2575  0.7643  0.9863  2 Co 1.91-1.96, 1 Ni 2.06, 2 Li 2.09-2.10
O  0.7765  0.7232  0.5098  2 Co 1.90-1.99, 1 Ni 2.05, 1 Li 2.05
O  0.2531  0.2478  0.0219  2 Co 1.88-2.07, 1 Li 2.07, 1 Ni 2.07

No. 2
VASP calculation (PBE with a Hubbard U) on a relaxed MgCr4O12 crystal.

ΔE_f (eV/atom): -1.72
Energy above the most stable polymorph in this dataset (meV per atom): 51.3
E (eV for the cell shown): -112.5
SG: P1
Magnetic moment (μB/f.u.): 1.99

Lattice parameters (Å, degrees): 7.2250 4.7775 9.2817 94.44 67.68 92.49
With the nearest neighbours (Å) after each atom.
Positions (direct):
Mg  0.1283  0.5542  0.3521  4 O 1.98-2.01
Cr  0.1259  0.9531  0.7016  4 O 1.59-1.78
Cr  0.6350  0.5163  0.2006  4 O 1.59-1.75
Cr  0.3542  0.4755  0.7981  4 O 1.60-1.79
Cr  0.8743  0.0269  0.2850  4 O 1.68-1.84
O  0.0711  0.8116  0.2139  1 Cr 1.68
O  0.1399  0.7862  0.5345  1 Cr 1.66
O  0.4015  0.3980  0.2770  1 Cr 1.66
O  0.1632  0.7208  0.8274  2 Cr 1.77-1.78
O  0.3247  0.2037  0.6650  2 Cr 1.78-1.79
O  0.6763  0.6615  0.0430  1 Cr 1.59
O  0.3213  0.3568  0.9629  1 Cr 1.60
O  0.6661  0.7698  0.3370  2 Cr 1.75-1.84
O  0.8113  0.2528  0.1598  2 Cr 1.75-1.83
O  0.5712  0.6143  0.7197  1 Cr 1.60
O  0.9087  0.2640  0.4162  1 Cr 1.68
O  0.9196  0.1068  0.7938  1 Cr 1.59

No. 3
VASP calculation (PBE with a Hubbard U) on a relaxed Li32Mn13Cr3O48 crystal.

ΔE_f (eV/atom): -2.19
E (eV for the cell shown): -596.2
SG: P1
Magnetic moment (μB/f.u.): 45.00

Lattice parameters (Å, degrees): 5.0014 8.6782 19.4703 98.35 94.77 89.90
With the nearest neighbours (Å) after each atom.
Positions (direct):
Li  0.9916  0.1683  0.2494  6 O 2.05-2.20
Li  0.8753  0.3744  0.3751  6 O 2.08-2.11
Li  0.7494  0.2498  0.0001  6 O 2.03-2.18
Li  0.7437  0.9200  0.0005  6 O 2.05-2.20
Li  0.9945  0.1676  0.7497  6 O 2.05-2.20
Li  0.7559  0.5797  0.4999  6 O 2.06-2.20
Li  0.8756  0.3756  0.8752  6 O 2.08-2.12
Li  0.7499  0.2515  0.4998  6 O 2.02-2.19
Li  0.7442  0.9192  0.5005  6 O 2.05-2.20
Li  0.6248  0.1251  0.1250  6 O 2.08-2.10
Li  0.7553  0.5804  0.9997  6 O 2.06-2.20
Li  0.5072  0.3316  0.2504  6 O 2.06-2.20
Li  0.6222  0.1247  0.6252  6 O 2.07-2.12
Li  0.5004  0.0005  0.2499  6 O 2.02-2.19
Li  0.4940  0.6682  0.2499  6 O 2.06-2.18
Li  0.5057  0.3322  0.7503  6 O 2.05-2.21
Li  0.3768  0.8742  0.3748  6 O 2.07-2.11
Li  0.4983  0.0002  0.7498  6 O 2.03-2.19
Li  0.2495  0.7497  0.0000  6 O 2.03-2.19
Li  0.4942  0.6679  0.7499  6 O 2.06-2.19
Li  0.2446  0.4191  0.0002  6 O 2.06-2.18
Li  0.3770  0.8746  0.8749  6 O 2.08-2.11
Li  0.2572  0.0815  0.4993  6 O 2.05-2.20
Li  0.2495  0.7498  0.5000  6 O 2.03-2.18
Li  0.1248  0.6250  0.1250  6 O 2.08-2.10
Li  0.2433  0.4184  0.5000  6 O 2.06-2.19
Li  0.0061  0.8315  0.2499  6 O 2.06-2.20
Li  0.2570  0.0810  0.9999  6 O 2.06-2.20
Li  0.1244  0.6244  0.6248  6 O 2.08-2.10
Li  0.0001  0.5000  0.2499  6 O 2.03-2.18
Li  0.0063  0.8319  0.7503  6 O 2.05-2.20
Li  0.0011  0.5006  0.7503  6 O 2.02-2.18
Mn  0.8732  0.7070  0.3745  6 O 1.92-1.95
Mn  0.8733  0.7077  0.8744  6 O 1.92-1.95
Mn  0.6255  0.7913  0.1250  6 O 1.93-1.95
Mn  0.6247  0.4585  0.1250  6 O 1.93-1.95
Mn  0.6262  0.7915  0.6250  6 O 1.93-1.95
Mn  0.6234  0.4596  0.6244  6 O 1.93-1.96
Mn  0.3749  0.5417  0.3751  6 O 1.93-1.95
Mn  0.3756  0.2101  0.3756  6 O 1.92-1.95
Mn  0.3748  0.5416  0.8750  6 O 1.94-1.95
Mn  0.3758  0.2097  0.8756  6 O 1.92-1.95
Mn  0.1246  0.9584  0.1250  6 O 1.93-1.95
Mn  0.1256  0.2915  0.1249  6 O 1.93-1.95
Mn  0.1265  0.9575  0.6256  6 O 1.93-1.95
Cr  0.8800  0.0398  0.3750  6 O 1.90-1.97
Cr  0.8807  0.0416  0.8748  6 O 1.92-1.99
Cr  0.1203  0.2899  0.6251  6 O 1.91-1.98
O  0.9637  0.1064  0.0690  2 Mn 1.93-1.94, 2 Li 2.06-2.08
O  0.9281  0.7850  0.0690  2 Mn 1.93-1.94, 2 Li 2.06-2.08
O  0.9275  0.4274  0.0681  2 Mn 1.95, 4 Li 2.03-2.14
O  0.9678  0.1069  0.5690  1 Cr 1.91, 1 Mn 1.95, 2 Li 2.06-2.12
O  0.8221  0.9650  0.1811  2 Mn 1.94, 2 Li 2.06-2.09
O  0.8226  0.3226  0.1820  2 Mn 1.95, 4 Li 2.03-2.14
O  0.9281  0.7850  0.5689  2 Mn 1.93-1.95, 2 Li 2.05-2.09
O  0.9231  0.4295  0.5673  1 Mn 1.93, 1 Cr 1.98, 4 Li 2.02-2.15
O  0.7866  0.6434  0.1810  2 Mn 1.93-1.94, 2 Li 2.06-2.08
O  0.7120  0.8534  0.3186  1 Mn 1.92, 1 Cr 1.97, 2 Li 2.06-2.07
O  0.8222  0.9654  0.6809  2 Mn 1.93-1.94, 2 Li 2.06-2.08
O  0.8255  0.3242  0.6818  1 Cr 1.91, 1 Mn 1.96, 2 Li 2.03-2.12
O  0.6780  0.5345  0.3190  2 Mn 1.93-1.94, 2 Li 2.06-2.09
O  0.6756  0.1771  0.3179  1 Mn 1.94, 1 Cr 1.97, 4 Li 2.02-2.15
O  0.7867  0.6437  0.6808  2 Mn 1.93-1.94, 2 Li 2.06-2.08
O  0.7123  0.8535  0.8183  1 Mn 1.92, 1 Cr 1.98, 2 Li 2.05-2.08
O  0.4637  0.6065  0.0690  2 Mn 1.93-1.94, 2 Li 2.06-2.08
O  0.5714  0.7152  0.4311  2 Mn 1.94, 2 Li 2.07-2.08
O  0.5726  0.0739  0.4321  1 Mn 1.94, 1 Cr 1.97, 4 Li 2.03-2.15
O  0.6780  0.5341  0.8189  2 Mn 1.94, 2 Li 2.06-2.08
O  0.6768  0.1758  0.8180  1 Mn 1.95, 1 Cr 1.95, 4 Li 2.03-2.15
O  0.4276  0.9272  0.0681  2 Mn 1.95, 4 Li 2.03-2.14
O  0.4284  0.2852  0.0692  2 Mn 1.93-1.94, 2 Li 2.06-2.08
O  0.5370  0.3943  0.4310  2 Mn 1.93, 2 Li 2.06-2.08
O  0.4624  0.6073  0.5689  2 Mn 1.93-1.94, 2 Li 2.06-2.08
O  0.5711  0.7149  0.9310  2 Mn 1.94, 2 Li 2.06-2.08
O  0.5693  0.0734  0.9324  1 Mn 1.94, 1 Cr 1.99, 4 Li 2.03-2.15
O  0.3224  0.8227  0.1820  2 Mn 1.95, 4 Li 2.03-2.14
O  0.3219  0.4650  0.1811  2 Mn 1.94, 2 Li 2.06-2.09
O  0.4284  0.9276  0.5679  2 Mn 1.95, 4 Li 2.04-2.15
O  0.4287  0.2859  0.5691  1 Mn 1.93, 1 Cr 1.96, 2 Li 2.06-2.09
O  0.5376  0.3943  0.9311  2 Mn 1.94, 2 Li 2.06-2.08
O  0.2862  0.1434  0.1810  2 Mn 1.94, 2 Li 2.06-2.08
O  0.2129  0.3571  0.3191  2 Mn 1.94, 2 Li 2.06-2.08
O  0.3225  0.8217  0.6818  2 Mn 1.93-1.95, 4 Li 2.04-2.15
O  0.3233  0.4640  0.6811  1 Mn 1.93, 1 Cr 1.96, 2 Li 2.05-2.09
O  0.1774  0.6777  0.3181  2 Mn 1.94-1.95, 4 Li 2.04-2.14
O  0.1753  0.0369  0.3191  1 Cr 1.90, 1 Mn 1.95, 2 Li 2.05-2.11
O  0.2886  0.1401  0.6816  1 Mn 1.93, 1 Cr 1.97, 3 Li 2.05-2.14
O  0.2129  0.3568  0.8189  2 Mn 1.94, 3 Li 2.05-2.17
O  0.0726  0.5724  0.4319  2 Mn 1.94-1.95, 4 Li 2.03-2.14
O  0.0756  0.2173  0.4317  1 Mn 1.92, 1 Cr 1.97, 2 Li 2.05-2.08
O  0.1774  0.6775  0.8180  2 Mn 1.94-1.95, 4 Li 2.02-2.14
O  0.1788  0.0364  0.8189  1 Cr 1.92, 1 Mn 1.95, 2 Li 2.05-2.10
O  0.0332  0.8934  0.4311  1 Cr 1.91, 1 Mn 1.95, 2 Li 2.05-2.11
O  0.0726  0.5725  0.9319  2 Mn 1.94-1.95, 4 Li 2.03-2.14
O  0.0751  0.2165  0.9314  1 Mn 1.92, 1 Cr 1.95, 2 Li 2.06-2.09
O  0.0311  0.8938  0.9309  1 Cr 1.92, 1 Mn 1.95, 2 Li 2.05-2.11

No. 4
VASP calculation (PBE with a Hubbard U) on a relaxed Hg2MoO4 crystal.

ΔE_f (eV/atom): -1.35
Energy above the most stable polymorph in this dataset (meV per atom): 7.3
E (eV for the cell shown): -69.5
SG: C2/c

Lattice parameters (Å, degrees): 7.4980 7.4980 5.0574 75.02 75.02 106.83
With the nearest neighbours (Å) after each atom.
Positions (direct):
Hg  0.5335  0.7537  0.5209  1 O 2.20
Hg  0.2463  0.4665  0.9791  1 O 2.20
Hg  0.4665  0.2463  0.4791  1 O 2.20
Hg  0.7537  0.5335  0.0209  1 O 2.20
Mo  0.0985  0.9015  0.2500  4 O 1.77-1.93
Mo  0.9015  0.0985  0.7500  4 O 1.77-1.93
O  0.6695  0.0518  0.6991  1 Mo 1.77
O  0.3305  0.9482  0.3009  1 Mo 1.77
O  0.1828  0.0886  0.8549  1 Mo 1.93
O  0.0886  0.1828  0.3549  1 Mo 1.93
O  0.0518  0.6695  0.1991  1 Mo 1.77
O  0.9114  0.8172  0.6451  1 Mo 1.93
O  0.8172  0.9114  0.1451  1 Mo 1.93
O  0.9482  0.3305  0.8009  1 Mo 1.77